1.
52
Lattice="-1.6851 -2.4840 7.0752 6.2985 -3.0352 3.1970 3.0687 11.3005 4.7161" Properties=species:S:1:pos:R:3 comment="Zn35Cu17 (PBE-GGA, relaxed)" e_tot_ev_per_cell=-119.04 formation_energy_mev_per_atom=-101 pbc="T T T"
Zn -0.4178 1.0094 8.4196
Cu 2.4696 1.8632 4.8165
Cu 2.9934 4.9295 8.9733
Cu 5.4533 -0.9917 4.6664
Zn 7.2560 5.9097 10.2610
Zn 0.1440 2.4865 6.2675
Cu 3.3474 8.2994 5.7113
Zn 2.7037 10.7572 6.2419
Zn 5.9585 7.4874 11.9286
Cu 6.0137 1.8474 8.5842
Zn 5.1337 1.5246 4.0607
Zn 4.3433 1.5984 6.5749
Zn 0.7298 5.2851 10.1818
Zn 0.7252 0.0950 5.2565
Zn 4.9847 1.2082 10.8089
Zn 5.0926 6.3768 8.8115
Cu 1.9385 1.0408 7.3500
Cu 0.9945 3.0877 8.8762
Zn 6.4336 -0.0346 6.8879
Zn 2.6893 7.4215 8.3186
Zn 4.2071 9.6063 8.0255
Cu 3.5601 7.7705 12.8847
Zn 5.0463 -2.2671 6.8124
Zn 7.5133 3.9349 8.5464
Cu 7.4609 6.4127 7.7708
Zn 6.2267 5.4728 5.6832
Zn 3.4008 -0.3448 3.2808
Cu 3.4514 -2.8380 4.5823
Zn 7.9848 8.8915 7.2241
Zn 1.7324 0.5446 9.8477
Cu 4.1171 -0.1066 8.4895
Zn 2.5763 3.6601 11.1471
Zn 2.1333 4.6192 4.4576
Zn 4.3336 -2.4952 9.2714
Zn 0.9683 5.5853 7.5642
Zn 6.7121 2.6962 6.1017
Cu 5.2124 3.9187 10.1713
Zn 5.0181 4.0735 7.6046
Zn -0.4927 -1.3233 7.1980
Zn 3.1912 -0.6383 5.8863
Zn 3.4729 2.3576 9.0290
Cu 6.3123 4.7554 12.3108
Cu -1.0953 -1.6298 4.6420
Zn 1.9638 -1.4283 8.1168
Zn 3.9695 5.8849 11.1820
Zn 4.2519 8.6163 10.3940
Cu 1.3696 1.0307 2.6776
Cu 4.4295 3.7472 5.0630
Zn 1.8862 7.5137 10.8629
Cu 3.5638 5.8930 6.4986
Zn 5.6410 7.8329 6.6792
Zn 2.4819 3.5521 6.8055

2.
44
Lattice="-2.1217 0.4756 -7.6467 0.7551 -8.1630 -0.7173 -9.6746 -1.1246 2.6144" Properties=species:S:1:pos:R:3 comment="Zr3Cu8 (PBE-GGA, relaxed)" e_tot_ev_per_cell=-241.10 formation_energy_mev_per_atom=-167 pbc="T T T"
Cu -7.9964 -2.7255 -1.0029
Cu -1.9164 -4.7077 -2.8946
Cu -8.7657 -2.4538 -4.9050
Cu -4.7195 -4.6725 -6.2471
Cu 0.0267 -6.0571 -1.8477
Cu -7.3768 -6.8902 -0.1597
Cu -5.4976 -2.4685 -1.2971
Cu -5.5436 -6.3435 -4.4524
Cu -9.1248 -4.1043 -2.8550
Zr -6.6990 -5.0280 -2.0673
Cu -11.0679 -2.7549 -3.9019
Zr -9.5962 -8.2498 -5.5963
Cu -3.0447 -6.0865 -4.7467
Zr -9.8044 -6.9385 -2.1659
Cu -4.3501 -0.3695 -0.4608
Zr -1.1479 -3.7738 -0.4354
Cu -2.0150 -3.8472 -5.4575
Cu -7.0673 -4.3760 -4.9315
Cu -6.5833 -1.3114 0.7460
Cu -1.6548 -7.5359 -3.1431
Zr -4.3422 -3.7840 -3.6823
Cu -3.6644 -1.9218 -5.5899
Cu -8.6500 -9.0313 -0.6494
Cu -2.2543 -5.8121 -7.0370
Cu -3.9739 -4.4360 -0.8181
Cu -6.6911 -8.4425 -5.2888
Zr -9.8933 -5.0382 -5.3141
Cu -8.7868 -2.9999 1.2874
Zr -6.4019 -8.2396 -2.3495
Cu -2.2755 -6.3582 -0.8446
Cu -2.3912 0.2193 -5.1002
Cu -6.9033 -2.4198 -3.3317
Zr -1.4449 -0.5622 -0.1532
Zr -1.2368 -1.8735 -3.5837
Cu -4.1379 -6.3922 -2.4179
Cu -3.0651 -2.2132 -1.6418
Cu -4.4579 -7.5006 -6.4956
Zr -4.8011 -6.7180 0.5921
Zr -4.6393 -0.5724 -3.4001
Cu -9.3864 -1.2761 -2.6065
Cu -6.3217 -4.1395 0.4975
Zr -6.2401 -2.0940 -6.3417
Cu -7.9761 -6.5988 -4.1078
Cu -9.0262 -4.9648 -0.2921

3.
24
Lattice="0.0000 6.1545 6.1545 6.1545 0.0000 6.1545 6.1545 6.1545 0.0000" Properties=species:S:1:pos:R:3 comment="Zr2Cu (PBE-GGA, relaxed)" e_tot_ev_per_cell=-171.11 formation_energy_mev_per_atom=-65 pbc="T T T"
Zr 11.5106 9.2318 9.2318
Zr 4.6159 4.6159 1.5386
Zr 6.1545 6.1545 8.4333
Cu 7.1857 11.2780 7.1857
Zr 4.6159 1.5386 4.6159
Zr 9.2318 9.2318 6.9531
Cu 11.2780 11.2780 11.2780
Cu 11.2780 7.1857 7.1857
Zr 6.1545 3.8758 6.1545
Cu 8.2007 8.2007 4.1084
Cu 4.1084 4.1084 4.1084
Zr 6.1545 8.4333 6.1545
Cu 8.2007 4.1084 8.2007
Zr 6.1545 6.1545 3.8758
Cu 4.1084 8.2007 8.2007
Cu 7.1857 7.1857 11.2780
Zr 6.9531 9.2318 9.2318
Zr 8.4333 6.1545 6.1545
Zr 9.2318 11.5106 9.2318
Zr 1.5386 4.6159 4.6159
Zr 9.2318 6.9531 9.2318
Zr 9.2318 9.2318 11.5106
Zr 3.8758 6.1545 6.1545
Zr 1.5386 1.5386 1.5386

4.
3
Lattice="-3.2099 0.3707 -0.0679 -0.3382 -2.5761 1.9222 2.0629 4.4299 3.5826" Properties=species:S:1:pos:R:3 comment="Zr2Cu (PBE-GGA, relaxed)" e_tot_ev_per_cell=-21.60 formation_energy_mev_per_atom=-134 pbc="T T T"
Zr 0.1997 2.3006 3.1183
Cu 0.0000 0.0000 0.0000
Zr -1.6850 -0.0761 2.3186

5.
8
Lattice="2.8279 -4.8981 0.0000 2.8279 4.8981 0.0000 0.0000 0.0000 4.2436" Properties=species:S:1:pos:R:3 comment="ZrCu3 (PBE-GGA, relaxed)" e_tot_ev_per_cell=-42.31 formation_energy_mev_per_atom=-78 pbc="T T T"
Cu 4.3725 0.7409 1.0609
Zr 2.8279 -1.6327 1.0609
Zr 2.8279 1.6327 3.1827
Cu 2.8279 -3.4163 3.1827
Cu 4.3725 -0.7409 3.1827
Cu 1.2833 0.7409 1.0609
Cu 1.2833 -0.7409 3.1827
Cu 2.8279 3.4163 1.0609

6.
6
Lattice="1.1150 -5.0778 2.1689 3.9355 -3.9297 0.8948 3.5845 -0.9369 7.0912" Properties=species:S:1:pos:R:3 comment="Zr2Cu (PBE-GGA, relaxed)" e_tot_ev_per_cell=-42.84 formation_energy_mev_per_atom=-76 pbc="T T T"
Zr 7.6717 -9.0810 8.8004
Zr 3.7309 -3.6008 5.0146
Cu 2.4224 -3.4753 2.2309
Zr 4.9042 -6.3437 5.1403
Cu 6.2127 -6.4693 7.9240
Zr 0.9633 -0.8635 1.3545

7.
6
Lattice="-4.2090 -1.5094 1.9472 3.9812 -2.8134 -0.1416 1.3164 1.6550 4.1283" Properties=species:S:1:pos:R:3 comment="ZrCu2 (PBE-GGA, relaxed)" e_tot_ev_per_cell=-34.20 formation_energy_mev_per_atom=-118 pbc="T T T"
Cu -0.6577 -1.6226 4.7688
Zr 0.9339 0.2290 3.5190
Zr 0.1546 -2.8968 2.4149
Cu -1.2170 -0.5734 1.9208
Cu 1.7463 -1.0452 1.1651
Cu 2.3056 -2.0944 4.0131

8.
34
Lattice="-7.6463 0.0387 1.6344 0.6871 -0.5236 -7.7712 0.0886 -9.3075 0.6349" Properties=species:S:1:pos:R:3 comment="Zr7Cu10 (PBE-GGA, relaxed)" e_tot_ev_per_cell=-207.03 formation_energy_mev_per_atom=-158 pbc="T T T"
Cu -4.1665 -5.8824 -3.3398
Zr -4.7685 -3.1682 -4.0355
Zr 0.0443 -4.6538 0.3175
Cu -0.3177 -3.1689 -6.0759
Zr -2.9753 -2.8215 -6.6731
Zr -0.9044 -0.4162 -5.9749
Cu -2.3782 -7.7278 -4.0727
Cu -2.7041 -3.9101 -2.1620
Cu -3.6968 -0.5037 -5.6906
Zr -3.8952 -6.9710 1.1712
Cu -6.5528 -6.6235 0.5740
Cu -6.2102 -1.3679 -5.4204
Zr -6.0548 -0.0687 -0.1619
Cu -0.6244 -7.0235 -6.1172
Zr -5.5719 -7.8810 -4.4656
Zr -3.4796 -0.2425 -3.0684
Cu -3.1737 -9.2888 0.1887
Zr -1.8437 -5.0036 -4.5472
Zr -5.0268 -4.7888 -0.9546
Cu -6.6961 -5.0372 -3.1863
Cu -6.2461 -2.7689 0.6153
Zr 0.2715 -7.2521 -3.5316
Cu -4.4923 -2.0647 -1.4292
Cu -2.0873 -2.2270 -4.1437
Cu -2.5971 -4.5918 0.4188
Zr -7.1420 -2.5403 -1.9703
Cu -0.6604 -8.4245 -0.0815
Cu -4.7833 -7.5655 -1.3582
Cu -6.1195 -0.3402 -2.9562
Zr -1.2986 -1.9114 -1.0363
Zr -2.1020 -6.6243 -1.4664
Cu -4.2734 -5.2007 -5.9206
Cu -0.1745 -4.7552 -2.3156
Cu -0.7510 -9.4523 -2.5457